The following is a DFT calculation (GGA-PBE) of crystalline Gd2Nb2S7O30 at its relaxed geometry.

Summary:
corrected total energy (MP2020 scheme)	-7.76	eV per atom
total magnetic moment	32.00	μB/cell
calculated volume	14.6	Å³/atom
DFT formation energy	-2256	meV per atom

a = 12.905 Å, b = 12.905 Å, c = 7.193 Å
α = 90.00°, β = 90.00°, γ = 90.00°
Fractional coordinates of all 82 atoms:
Gd: 0.199 0.301 0.092
Gd: 0.301 0.801 0.908
Gd: 0.699 0.199 0.908
Gd: 0.801 0.699 0.092
Nb: 0.138 0.638 0.518
Nb: 0.362 0.138 0.482
Nb: 0.638 0.862 0.482
Nb: 0.862 0.362 0.518
S: 0.000 0.500 0.155
S: 0.065 0.824 0.203
S: 0.123 0.377 0.604
S: 0.176 0.065 0.797
S: 0.324 0.565 0.203
S: 0.377 0.877 0.396
S: 0.435 0.324 0.797
S: 0.500 0.000 0.845
S: 0.565 0.676 0.797
S: 0.623 0.123 0.396
S: 0.676 0.435 0.203
S: 0.824 0.935 0.797
S: 0.877 0.623 0.604
S: 0.935 0.176 0.203
O: 0.009 0.358 0.628
O: 0.043 0.208 0.176
O: 0.065 0.075 0.767
O: 0.066 0.566 0.275
O: 0.067 0.433 0.040
O: 0.075 0.935 0.233
O: 0.105 0.769 0.380
O: 0.131 0.789 0.048
O: 0.142 0.491 0.628
O: 0.156 0.344 0.421
O: 0.176 0.324 0.757
O: 0.200 0.700 0.708
O: 0.208 0.957 0.824
O: 0.211 0.131 0.952
O: 0.231 0.105 0.620
O: 0.269 0.605 0.380
O: 0.289 0.631 0.048
O: 0.292 0.457 0.176
O: 0.300 0.200 0.292
O: 0.324 0.824 0.243
O: 0.344 0.844 0.579
O: 0.358 0.991 0.372
O: 0.369 0.289 0.952
O: 0.395 0.269 0.620
O: 0.425 0.435 0.767
O: 0.433 0.933 0.960
O: 0.434 0.066 0.725
O: 0.435 0.575 0.233
O: 0.457 0.708 0.824
O: 0.491 0.858 0.372
O: 0.509 0.142 0.372
O: 0.543 0.292 0.824
O: 0.565 0.425 0.233
O: 0.566 0.934 0.725
O: 0.567 0.067 0.960
O: 0.575 0.565 0.767
O: 0.605 0.731 0.620
O: 0.631 0.711 0.952
O: 0.642 0.009 0.372
O: 0.656 0.156 0.579
O: 0.676 0.176 0.243
O: 0.700 0.800 0.292
O: 0.708 0.543 0.176
O: 0.711 0.369 0.048
O: 0.731 0.395 0.380
O: 0.769 0.895 0.620
O: 0.789 0.869 0.952
O: 0.792 0.043 0.824
O: 0.800 0.300 0.708
O: 0.824 0.676 0.757
O: 0.844 0.656 0.421
O: 0.858 0.509 0.628
O: 0.869 0.211 0.048
O: 0.895 0.231 0.380
O: 0.925 0.065 0.233
O: 0.933 0.567 0.040
O: 0.934 0.434 0.275
O: 0.935 0.925 0.767
O: 0.957 0.792 0.176
O: 0.991 0.642 0.628

The following is a DFT calculation (GGA-PBE) of crystalline Gd3NbS3O4 at its relaxed geometry.

Summary:
corrected total energy (MP2020 scheme)	-10.71	eV per atom
total magnetic moment	84.00	μB/cell
calculated volume	16.6	Å³/atom
DFT formation energy	-3023	meV per atom

a = 6.676 Å, b = 14.344 Å, c = 7.639 Å
α = 90.00°, β = 90.00°, γ = 90.00°
Fractional coordinates of all 44 atoms:
Gd: 0.217 0.157 0.000
Gd: 0.224 0.919 0.244
Gd: 0.226 0.165 0.490
Gd: 0.274 0.665 0.990
Gd: 0.276 0.419 0.744
Gd: 0.283 0.657 0.500
Gd: 0.717 0.343 0.000
Gd: 0.724 0.581 0.244
Gd: 0.726 0.335 0.490
Gd: 0.774 0.835 0.990
Gd: 0.776 0.081 0.744
Gd: 0.783 0.843 0.500
Nb: 0.184 0.928 0.756
Nb: 0.316 0.428 0.256
Nb: 0.684 0.572 0.756
Nb: 0.816 0.072 0.256
S: 0.002 0.274 0.751
S: 0.025 0.494 0.470
S: 0.046 0.298 0.237
S: 0.454 0.798 0.737
S: 0.475 0.994 0.970
S: 0.498 0.774 0.251
S: 0.502 0.226 0.751
S: 0.525 0.006 0.470
S: 0.546 0.202 0.237
S: 0.954 0.702 0.737
S: 0.975 0.506 0.970
S: 0.998 0.726 0.251
O: 0.118 0.867 0.974
O: 0.125 0.885 0.522
O: 0.135 0.073 0.253
O: 0.144 0.063 0.738
O: 0.356 0.563 0.238
O: 0.365 0.573 0.753
O: 0.375 0.385 0.022
O: 0.382 0.367 0.474
O: 0.618 0.633 0.974
O: 0.625 0.615 0.522
O: 0.635 0.427 0.253
O: 0.644 0.437 0.738
O: 0.856 0.937 0.238
O: 0.865 0.927 0.753
O: 0.875 0.115 0.022
O: 0.882 0.133 0.474

The following is a DFT calculation (GGA-PBE) of crystalline Gd2ScNbO7 at its relaxed geometry.

Summary:
corrected total energy (MP2020 scheme)	-10.88	eV per atom
total magnetic moment	28.00	μB/cell
calculated volume	13.2	Å³/atom
DFT formation energy	-3676	meV per atom

a = 7.432 Å, b = 7.432 Å, c = 7.432 Å
α = 120.57°, β = 119.40°, γ = 90.02°
Fractional coordinates of all 22 atoms:
Gd: 0.000 0.000 0.000
Gd: 0.500 0.000 0.000
Gd: 0.500 0.000 0.500
Gd: 0.500 0.500 0.500
Sc: 0.000 0.000 0.500
Sc: 0.000 0.500 0.000
Nb: 0.000 0.500 0.500
Nb: 0.500 0.500 0.000
O: 0.092 0.424 0.265
O: 0.092 0.827 0.669
O: 0.098 0.848 0.250
O: 0.323 0.573 0.750
O: 0.342 0.173 0.765
O: 0.342 0.576 0.169
O: 0.379 0.129 0.250
O: 0.621 0.871 0.750
O: 0.658 0.424 0.831
O: 0.658 0.827 0.235
O: 0.677 0.427 0.250
O: 0.902 0.152 0.750
O: 0.908 0.173 0.331
O: 0.908 0.576 0.735

The following is a DFT calculation (GGA-PBE) of crystalline Gd7Y5Nb4O28 at its relaxed geometry.

Summary:
corrected total energy (MP2020 scheme)	-10.75	eV per atom
total magnetic moment	49.00	μB/cell
calculated volume	13.9	Å³/atom
DFT formation energy	-3712	meV per atom

a = 6.543 Å, b = 7.566 Å, c = 12.597 Å
α = 89.93°, β = 79.31°, γ = 89.95°
Fractional coordinates of all 44 atoms:
Gd: 0.000 0.000 0.000
Gd: 0.001 0.243 0.466
Gd: 0.036 0.741 0.499
Gd: 0.234 0.985 0.233
Gd: 0.501 0.244 0.965
Gd: 0.535 0.741 0.999
Gd: 0.733 0.985 0.732
Y: 0.037 0.500 0.964
Y: 0.305 0.484 0.232
Y: 0.501 0.999 0.500
Y: 0.537 0.500 0.464
Y: 0.806 0.484 0.732
Nb: 0.268 0.243 0.730
Nb: 0.271 0.741 0.733
Nb: 0.767 0.243 0.231
Nb: 0.770 0.741 0.234
O: 0.049 0.695 0.259
O: 0.055 0.268 0.274
O: 0.164 0.492 0.766
O: 0.168 0.783 0.886
O: 0.186 0.221 0.897
O: 0.215 0.993 0.419
O: 0.230 0.492 0.412
O: 0.310 0.992 0.052
O: 0.322 0.492 0.048
O: 0.353 0.718 0.567
O: 0.368 0.992 0.698
O: 0.372 0.286 0.578
O: 0.479 0.762 0.191
O: 0.486 0.202 0.205
O: 0.550 0.695 0.757
O: 0.556 0.268 0.772
O: 0.663 0.492 0.269
O: 0.665 0.786 0.386
O: 0.684 0.219 0.397
O: 0.712 0.992 0.917
O: 0.730 0.492 0.911
O: 0.808 0.992 0.551
O: 0.822 0.492 0.547
O: 0.851 0.716 0.068
O: 0.867 0.992 0.199
O: 0.871 0.289 0.079
O: 0.980 0.763 0.690
O: 0.986 0.201 0.704

The following is a DFT calculation (GGA-PBE) of crystalline NdGd3 at its relaxed geometry.

Summary:
calculated volume	33.4	Å³/atom
DFT formation energy	18	meV per atom

a = 5.113 Å, b = 5.113 Å, c = 5.113 Å
α = 90.00°, β = 90.00°, γ = 90.00°
Fractional coordinates of all 4 atoms:
Nd: 0.000 0.000 0.000
Gd: 0.000 0.500 0.500
Gd: 0.500 0.000 0.500
Gd: 0.500 0.500 0.000

The following is a DFT calculation (GGA-PBE) of crystalline NdGd2 at its relaxed geometry.

Summary:
total magnetic moment	13.61	μB/cell
calculated volume	22.4	Å³/atom
DFT formation energy	1655	meV per atom

a = 4.260 Å, b = 4.260 Å, c = 4.268 Å
α = 90.00°, β = 90.00°, γ = 120.00°
Fractional coordinates of all 3 atoms:
Nd: 0.000 0.000 0.000
Gd: 0.333 0.667 0.500
Gd: 0.667 0.333 0.500

The following is a DFT calculation (GGA-PBE) of crystalline GdNi at its relaxed geometry.

Summary:
calculated volume	20.8	Å³/atom
DFT formation energy	-410	meV per atom

a = 3.768 Å, b = 10.423 Å, c = 4.239 Å
α = 90.00°, β = 90.00°, γ = 90.00°
Fractional coordinates of all 8 atoms:
Gd: 0.000 0.139 0.250
Gd: 0.000 0.861 0.750
Gd: 0.500 0.361 0.750
Gd: 0.500 0.639 0.250
Ni: 0.000 0.428 0.250
Ni: 0.000 0.572 0.750
Ni: 0.500 0.072 0.750
Ni: 0.500 0.928 0.250

The following is a DFT calculation (GGA-PBE) of crystalline GdNi3 at its relaxed geometry.

Summary:
total magnetic moment	21.85	μB/cell
calculated volume	14.4	Å³/atom
DFT formation energy	-383	meV per atom

a = 8.673 Å, b = 8.673 Å, c = 8.673 Å
α = 33.09°, β = 33.09°, γ = 33.09°
Fractional coordinates of all 12 atoms:
Gd: 0.000 0.000 0.000
Gd: 0.139 0.139 0.139
Gd: 0.861 0.861 0.861
Ni: 0.082 0.581 0.581
Ni: 0.333 0.333 0.333
Ni: 0.419 0.419 0.918
Ni: 0.419 0.918 0.419
Ni: 0.500 0.500 0.500
Ni: 0.581 0.082 0.581
Ni: 0.581 0.581 0.082
Ni: 0.667 0.667 0.667
Ni: 0.918 0.419 0.419

The following is a DFT calculation (GGA-PBE) of crystalline GdNi2 at its relaxed geometry.

Summary:
calculated volume	15.6	Å³/atom
DFT formation energy	-414	meV per atom

a = 5.091 Å, b = 5.091 Å, c = 5.091 Å
α = 60.00°, β = 60.00°, γ = 60.00°
Fractional coordinates of all 6 atoms:
Gd: 0.125 0.125 0.125
Gd: 0.875 0.875 0.875
Ni: 0.000 0.500 0.500
Ni: 0.500 0.000 0.500
Ni: 0.500 0.500 0.000
Ni: 0.500 0.500 0.500

The following is a DFT calculation (GGA-PBE) of crystalline Gd2Ni7 at its relaxed geometry.

Summary:
total magnetic moment	25.85	μB/cell
calculated volume	14.1	Å³/atom
DFT formation energy	-370	meV per atom

a = 12.347 Å, b = 12.347 Å, c = 12.347 Å
α = 23.11°, β = 23.11°, γ = 23.11°
Fractional coordinates of all 18 atoms:
Gd: 0.051 0.051 0.051
Gd: 0.147 0.147 0.147
Gd: 0.853 0.853 0.853
Gd: 0.949 0.949 0.949
Ni: 0.000 0.500 0.500
Ni: 0.110 0.610 0.610
Ni: 0.278 0.278 0.278
Ni: 0.388 0.388 0.388
Ni: 0.390 0.390 0.890
Ni: 0.390 0.890 0.390
Ni: 0.500 0.000 0.500
Ni: 0.500 0.500 0.000
Ni: 0.500 0.500 0.500
Ni: 0.610 0.110 0.610
Ni: 0.610 0.610 0.110
Ni: 0.612 0.612 0.612
Ni: 0.722 0.722 0.722
Ni: 0.890 0.390 0.390

The following is a DFT calculation (GGA-PBE) of crystalline GdNiPb at its relaxed geometry.

Summary:
calculated volume	22.4	Å³/atom
DFT formation energy	-410	meV per atom

a = 7.373 Å, b = 4.540 Å, c = 8.039 Å
α = 90.00°, β = 90.00°, γ = 90.00°
Fractional coordinates of all 12 atoms:
Gd: 0.013 0.250 0.195
Gd: 0.487 0.750 0.695
Gd: 0.513 0.250 0.305
Gd: 0.987 0.750 0.805
Ni: 0.228 0.750 0.397
Ni: 0.272 0.250 0.897
Ni: 0.728 0.750 0.103
Ni: 0.772 0.250 0.603
Pb: 0.174 0.250 0.574
Pb: 0.326 0.750 0.074
Pb: 0.674 0.250 0.926
Pb: 0.826 0.750 0.426

The following is a DFT calculation (GGA-PBE) of crystalline GdNiSb at its relaxed geometry.

Summary:
corrected total energy (MP2020 scheme)	-8.95	eV per atom
calculated volume	21.8	Å³/atom
DFT formation energy	-952	meV per atom

a = 6.397 Å, b = 6.397 Å, c = 6.397 Å
α = 90.00°, β = 90.00°, γ = 90.00°
Fractional coordinates of all 12 atoms:
Gd: 0.000 0.000 0.000
Gd: 0.000 0.500 0.500
Gd: 0.500 0.000 0.500
Gd: 0.500 0.500 0.000
Ni: 0.250 0.250 0.250
Ni: 0.250 0.750 0.750
Ni: 0.750 0.250 0.750
Ni: 0.750 0.750 0.250
Sb: 0.000 0.000 0.500
Sb: 0.000 0.500 0.000
Sb: 0.500 0.000 0.000
Sb: 0.500 0.500 0.500

The following is a DFT calculation (GGA-PBE) of crystalline GdNi2Sb2 at its relaxed geometry.

Summary:
corrected total energy (MP2020 scheme)	-7.40	eV per atom
total magnetic moment	13.85	μB/cell
calculated volume	20.0	Å³/atom
DFT formation energy	-621	meV per atom

a = 4.328 Å, b = 4.328 Å, c = 10.688 Å
α = 90.00°, β = 90.00°, γ = 90.00°
Fractional coordinates of all 10 atoms:
Gd: 0.000 0.000 0.000
Gd: 0.500 0.500 0.500
Ni: 0.000 0.500 0.250
Ni: 0.000 0.500 0.750
Ni: 0.500 0.000 0.250
Ni: 0.500 0.000 0.750
Sb: 0.000 0.000 0.366
Sb: 0.000 0.000 0.634
Sb: 0.500 0.500 0.134
Sb: 0.500 0.500 0.866

The following is a DFT calculation (GGA-PBE) of crystalline Gd3Si2Ni6 at its relaxed geometry.

Summary:
total magnetic moment	42.10	μB/cell
calculated volume	15.6	Å³/atom
DFT formation energy	-621	meV per atom

a = 7.646 Å, b = 7.646 Å, c = 7.646 Å
α = 109.47°, β = 109.47°, γ = 109.47°
Fractional coordinates of all 22 atoms:
Gd: 0.000 0.284 0.284
Gd: 0.000 0.716 0.716
Gd: 0.284 0.000 0.284
Gd: 0.284 0.284 0.000
Gd: 0.716 0.000 0.716
Gd: 0.716 0.716 0.000
Si: 0.000 0.000 0.500
Si: 0.000 0.500 0.000
Si: 0.500 0.000 0.000
Si: 0.500 0.500 0.500
Ni: 0.000 0.331 0.669
Ni: 0.000 0.669 0.331
Ni: 0.331 0.000 0.669
Ni: 0.331 0.331 0.662
Ni: 0.331 0.662 0.331
Ni: 0.331 0.669 0.000
Ni: 0.338 0.669 0.669
Ni: 0.662 0.331 0.331
Ni: 0.669 0.000 0.331
Ni: 0.669 0.331 0.000
Ni: 0.669 0.338 0.669
Ni: 0.669 0.669 0.338

The following is a DFT calculation (GGA-PBE) of crystalline GdNp3 at its relaxed geometry.

Summary:
total magnetic moment	4.64	μB/cell
calculated volume	24.5	Å³/atom
DFT formation energy	675	meV per atom

a = 4.609 Å, b = 4.609 Å, c = 4.609 Å
α = 90.00°, β = 90.00°, γ = 90.00°
Fractional coordinates of all 4 atoms:
Gd: 0.000 0.000 0.000
Np: 0.000 0.500 0.500
Np: 0.500 0.000 0.500
Np: 0.500 0.500 0.000

The following is a DFT calculation (GGA-PBE) of crystalline GdO at its relaxed geometry.

Summary:
corrected total energy (MP2020 scheme)	-12.56	eV per atom
total magnetic moment	24.16	μB/cell
calculated volume	19.6	Å³/atom
DFT formation energy	-3048	meV per atom

a = 5.392 Å, b = 5.392 Å, c = 5.392 Å
α = 90.00°, β = 90.00°, γ = 90.00°
Fractional coordinates of all 8 atoms:
Gd: 0.000 0.000 0.000
Gd: 0.000 0.500 0.500
Gd: 0.500 0.000 0.500
Gd: 0.500 0.500 0.000
O: 0.250 0.250 0.250
O: 0.250 0.750 0.750
O: 0.750 0.250 0.750
O: 0.750 0.750 0.250

The following is a DFT calculation (GGA-PBE) of crystalline GdO3 at its relaxed geometry.

Summary:
corrected total energy (MP2020 scheme)	-9.00	eV per atom
total magnetic moment	14.28	μB/cell
calculated volume	14.5	Å³/atom
DFT formation energy	-1766	meV per atom

a = 6.084 Å, b = 6.084 Å, c = 3.610 Å
α = 90.00°, β = 90.00°, γ = 120.00°
Fractional coordinates of all 8 atoms:
Gd: 0.333 0.667 0.250
Gd: 0.667 0.333 0.750
O: 0.087 0.410 0.750
O: 0.323 0.913 0.750
O: 0.410 0.323 0.250
O: 0.590 0.677 0.750
O: 0.677 0.087 0.250
O: 0.913 0.590 0.250